Entry 1:
The following is a GGA-PBE calculation of an optimized crystal structure of Pu2Ni17, from the Materials Project database.

Computed properties:
total moment: 31.128 Bohr magnetons per cell
formation energy from the elements: -8.67 kJ/mol of atoms
total DFT energy (no corrections): -6.763 eV per atom

The structure in CIF format:
```
data_Pu2Ni17
_chemical_formula_sum 'Pu4 Ni34'
_symmetry_space_group_name_H-M 'P 1'
_symmetry_Int_Tables_number 1
_symmetry_space_group_name_Hall 'P 1'
_cell_length_a 8.258
_cell_length_b 8.258
_cell_length_c 7.984
_cell_angle_alpha 90.00
_cell_angle_beta 90.00
_cell_angle_gamma 120.00
loop_
_atom_site_label
_atom_site_type_symbol
_atom_site_fract_x
_atom_site_fract_y
_atom_site_fract_z
_atom_site_occupancy
Pu1 Pu 0.000 0.000 0.250 1
Pu2 Pu 0.000 0.000 0.750 1
Pu3 Pu 0.333 0.667 0.250 1
Pu4 Pu 0.667 0.333 0.750 1
Ni1 Ni 0.000 0.500 0.000 1
Ni2 Ni 0.000 0.500 0.500 1
Ni3 Ni 0.041 0.368 0.750 1
Ni4 Ni 0.041 0.672 0.750 1
Ni5 Ni 0.165 0.330 0.022 1
Ni6 Ni 0.165 0.330 0.478 1
Ni7 Ni 0.165 0.835 0.022 1
Ni8 Ni 0.165 0.835 0.478 1
Ni9 Ni 0.328 0.368 0.750 1
Ni10 Ni 0.328 0.959 0.750 1
Ni11 Ni 0.330 0.165 0.522 1
Ni12 Ni 0.330 0.165 0.978 1
Ni13 Ni 0.333 0.667 0.600 1
Ni14 Ni 0.333 0.667 0.900 1
Ni15 Ni 0.368 0.041 0.250 1
Ni16 Ni 0.368 0.328 0.250 1
Ni17 Ni 0.500 0.000 0.000 1
Ni18 Ni 0.500 0.000 0.500 1
Ni19 Ni 0.500 0.500 0.000 1
Ni20 Ni 0.500 0.500 0.500 1
Ni21 Ni 0.632 0.672 0.750 1
Ni22 Ni 0.632 0.959 0.750 1
Ni23 Ni 0.667 0.333 0.100 1
Ni24 Ni 0.667 0.333 0.400 1
Ni25 Ni 0.670 0.835 0.022 1
Ni26 Ni 0.670 0.835 0.478 1
Ni27 Ni 0.672 0.041 0.250 1
Ni28 Ni 0.672 0.632 0.250 1
Ni29 Ni 0.835 0.165 0.522 1
Ni30 Ni 0.835 0.165 0.978 1
Ni31 Ni 0.835 0.670 0.522 1
Ni32 Ni 0.835 0.670 0.978 1
Ni33 Ni 0.959 0.328 0.250 1
Ni34 Ni 0.959 0.632 0.250 1
```

---

Entry 2:
The following is a GGA-PBE calculation of an optimized crystal structure of Na3HfTiSi2PO12, from the Materials Project database.

Computed properties:
total moment: 0.000 Bohr magnetons per cell
offset from the most stable computed form: 0.002 eV/atom
formation energy from the elements: -300.46 kJ/mol of atoms
total DFT energy (no corrections): -7.575 eV per atom

The structure in CIF format:
```
data_Na3HfTiSi2PO12
_chemical_formula_sum 'Na18 Hf6 Ti6 Si12 P6 O72'
_symmetry_space_group_name_H-M 'P 1'
_symmetry_Int_Tables_number 1
_symmetry_space_group_name_Hall 'P 1'
_cell_length_a 9.016
_cell_length_b 9.025
_cell_length_c 22.152
_cell_angle_alpha 89.62
_cell_angle_beta 89.54
_cell_angle_gamma 60.12
loop_
_atom_site_label
_atom_site_type_symbol
_atom_site_fract_x
_atom_site_fract_y
_atom_site_fract_z
_atom_site_occupancy
Na1 Na 0.000 0.000 0.000 1
Na2 Na 0.000 0.261 0.509 1
Na3 Na 0.001 0.614 0.761 1
Na4 Na 0.030 0.300 0.165 1
Na5 Na 0.292 0.295 0.673 1
Na6 Na 0.321 0.962 0.588 1
Na7 Na 0.330 0.957 0.081 1
Na8 Na 0.332 0.592 0.843 1
Na9 Na 0.335 0.317 0.338 1
Na10 Na 0.358 0.625 0.507 1
Na11 Na 0.629 0.626 0.006 1
Na12 Na 0.662 0.290 0.921 1
Na13 Na 0.665 0.663 0.672 1
Na14 Na 0.667 0.279 0.423 1
Na15 Na 0.672 0.925 0.170 1
Na16 Na 0.704 0.960 0.837 1
Na17 Na 0.965 0.966 0.340 1
Na18 Na 0.989 0.626 0.250 1
Hf1 Hf 0.003 0.629 0.611 1
Hf2 Hf 0.325 0.965 0.734 1
Hf3 Hf 0.336 0.955 0.228 1
Hf4 Hf 0.336 0.964 0.441 1
Hf5 Hf 0.671 0.296 0.272 1
Hf6 Hf 0.993 0.632 0.400 1
Ti1 Ti 0.005 0.620 0.902 1
Ti2 Ti 0.345 0.956 0.940 1
Ti3 Ti 0.659 0.298 0.064 1
Ti4 Ti 0.664 0.305 0.778 1
Ti5 Ti 0.670 0.286 0.568 1
Ti6 Ti 0.994 0.641 0.104 1
Si1 Si 0.039 0.256 0.335 1
Si2 Si 0.291 0.624 0.001 1
Si3 Si 0.299 0.332 0.506 1
Si4 Si 0.329 0.255 0.836 1
Si5 Si 0.380 0.581 0.672 1
Si6 Si 0.630 0.956 0.331 1
Si7 Si 0.631 0.667 0.838 1
Si8 Si 0.668 0.586 0.162 1
Si9 Si 0.708 0.921 0.001 1
Si10 Si 0.951 0.290 0.670 1
Si11 Si 0.957 0.002 0.165 1
Si12 Si 0.992 0.927 0.502 1
P1 P 0.006 0.334 0.005 1
P2 P 0.038 0.963 0.842 1
P3 P 0.336 0.667 0.339 1
P4 P 0.370 0.304 0.168 1
P5 P 0.667 0.009 0.675 1
P6 P 0.705 0.625 0.509 1
O1 O 0.013 0.797 0.557 1
O2 O 0.018 0.415 0.064 1
O3 O 0.025 0.797 0.840 1
O4 O 0.031 0.440 0.339 1
O5 O 0.123 0.976 0.901 1
O6 O 0.132 0.138 0.395 1
O7 O 0.142 0.993 0.168 1
O8 O 0.146 0.128 0.672 1
O9 O 0.154 0.159 0.275 1
O10 O 0.156 0.943 0.788 1
O11 O 0.159 0.645 0.056 1
O12 O 0.161 0.152 0.998 1
O13 O 0.165 0.448 0.844 1
O14 O 0.169 0.656 0.338 1
O15 O 0.169 0.939 0.503 1
O16 O 0.176 0.423 0.565 1
O17 O 0.188 0.456 0.163 1
O18 O 0.192 0.595 0.671 1
O19 O 0.200 0.609 0.939 1
O20 O 0.204 0.452 0.446 1
O21 O 0.306 0.799 0.000 1
O22 O 0.307 0.176 0.773 1
O23 O 0.314 0.145 0.501 1
O24 O 0.322 0.783 0.285 1
O25 O 0.348 0.118 0.890 1
O26 O 0.349 0.745 0.399 1
O27 O 0.360 0.136 0.167 1
O28 O 0.368 0.767 0.674 1
O29 O 0.449 0.317 0.228 1
O30 O 0.474 0.465 0.733 1
O31 O 0.485 0.459 0.006 1
O32 O 0.486 0.319 0.511 1
O33 O 0.489 0.485 0.333 1
O34 O 0.491 0.287 0.115 1
O35 O 0.495 0.481 0.612 1
O36 O 0.500 0.761 0.896 1
O37 O 0.501 0.995 0.672 1
O38 O 0.503 0.779 0.165 1
O39 O 0.507 0.265 0.837 1
O40 O 0.508 0.968 0.387 1
O41 O 0.520 0.933 0.995 1
O42 O 0.522 0.779 0.503 1
O43 O 0.541 0.785 0.778 1
O44 O 0.543 0.944 0.268 1
O45 O 0.638 0.135 0.333 1
O46 O 0.641 0.479 0.833 1
O47 O 0.653 0.490 0.101 1
O48 O 0.658 0.120 0.620 1
O49 O 0.676 0.091 0.735 1
O50 O 0.688 0.466 0.220 1
O51 O 0.693 0.108 0.006 1
O52 O 0.693 0.459 0.507 1
O53 O 0.784 0.641 0.568 1
O54 O 0.796 0.797 0.061 1
O55 O 0.817 0.653 0.845 1
O56 O 0.821 0.825 0.671 1
O57 O 0.822 0.612 0.455 1
O58 O 0.824 0.795 0.335 1
O59 O 0.828 0.120 0.509 1
O60 O 0.831 0.298 0.728 1
O61 O 0.834 0.821 0.944 1
O62 O 0.840 0.319 0.002 1
O63 O 0.842 0.085 0.226 1
O64 O 0.843 0.601 0.162 1
O65 O 0.852 0.125 0.107 1
O66 O 0.852 0.270 0.332 1
O67 O 0.856 0.119 0.836 1
O68 O 0.859 0.281 0.608 1
O69 O 0.962 0.467 0.673 1
O70 O 0.974 0.812 0.160 1
O71 O 0.978 0.843 0.439 1
O72 O 0.988 0.456 0.951 1
```

---

Entry 3:
The following is a GGA-PBE calculation of an optimized crystal structure of BaAgSbS3, from the Materials Project database.

Computed properties:
total moment: 0.001 Bohr magnetons per cell
formation energy from the elements: -108.09 kJ/mol of atoms
total DFT energy (no corrections): -4.417 eV per atom

The structure in CIF format:
```
data_BaAgSbS3
_chemical_formula_sum 'Ba4 Ag4 Sb4 S12'
_symmetry_space_group_name_H-M 'P 1'
_symmetry_Int_Tables_number 1
_symmetry_space_group_name_Hall 'P 1'
_cell_length_a 6.270
_cell_length_b 6.270
_cell_length_c 17.418
_cell_angle_alpha 98.67
_cell_angle_beta 98.67
_cell_angle_gamma 81.76
loop_
_atom_site_label
_atom_site_type_symbol
_atom_site_fract_x
_atom_site_fract_y
_atom_site_fract_z
_atom_site_occupancy
Ba1 Ba 0.049 0.297 0.111 1
Ba2 Ba 0.297 0.049 0.611 1
Ba3 Ba 0.703 0.951 0.389 1
Ba4 Ba 0.951 0.703 0.889 1
Ag1 Ag 0.195 0.805 0.250 1
Ag2 Ag 0.425 0.575 0.750 1
Ag3 Ag 0.575 0.425 0.250 1
Ag4 Ag 0.805 0.195 0.750 1
Sb1 Sb 0.187 0.475 0.420 1
Sb2 Sb 0.475 0.187 0.920 1
Sb3 Sb 0.525 0.813 0.080 1
Sb4 Sb 0.813 0.525 0.580 1
S1 S 0.005 0.464 0.714 1
S2 S 0.082 0.195 0.918 1
S3 S 0.195 0.082 0.418 1
S4 S 0.437 0.524 0.605 1
S5 S 0.464 0.005 0.214 1
S6 S 0.476 0.563 0.895 1
S7 S 0.524 0.437 0.105 1
S8 S 0.536 0.995 0.786 1
S9 S 0.563 0.476 0.395 1
S10 S 0.805 0.918 0.582 1
S11 S 0.918 0.805 0.082 1
S12 S 0.995 0.536 0.286 1
```

---

Entry 4:
The following is a GGA-PBE calculation of an optimized crystal structure of MgAg2, from the Materials Project database.

Computed properties:
offset from the most stable computed form: 0.018 eV/atom
formation energy from the elements: -15.61 kJ/mol of atoms
total DFT energy (no corrections): -2.584 eV per atom

The structure in CIF format:
```
data_MgAg2
_chemical_formula_sum 'Mg2 Ag4'
_symmetry_space_group_name_H-M 'P 1'
_symmetry_Int_Tables_number 1
_symmetry_space_group_name_Hall 'P 1'
_cell_length_a 7.633
_cell_length_b 7.633
_cell_length_c 4.776
_cell_angle_alpha 90.00
_cell_angle_beta 90.00
_cell_angle_gamma 156.64
loop_
_atom_site_label
_atom_site_type_symbol
_atom_site_fract_x
_atom_site_fract_y
_atom_site_fract_z
_atom_site_occupancy
Mg1 Mg 0.108 0.892 0.750 1
Mg2 Mg 0.892 0.108 0.250 1
Ag1 Ag 0.225 0.775 0.250 1
Ag2 Ag 0.443 0.557 0.750 1
Ag3 Ag 0.557 0.443 0.250 1
Ag4 Ag 0.775 0.225 0.750 1
```

---

Entry 5:
The following is a GGA-PBE calculation of an optimized crystal structure of CuH9CSN4Cl3O, from the Materials Project database.

Computed properties:
total moment: 2.003 Bohr magnetons per cell
offset from the most stable computed form: 0.591 eV/atom
formation energy from the elements: 45.77 kJ/mol of atoms
total DFT energy (no corrections): -4.083 eV per atom

The structure in CIF format:
```
data_CuH9CSN4Cl3O
_chemical_formula_sum 'Cu2 H18 C2 S2 N8 Cl6 O2'
_symmetry_space_group_name_H-M 'P 1'
_symmetry_Int_Tables_number 1
_symmetry_space_group_name_Hall 'P 1'
_cell_length_a 7.506
_cell_length_b 8.941
_cell_length_c 9.667
_cell_angle_alpha 112.37
_cell_angle_beta 98.40
_cell_angle_gamma 92.15
loop_
_atom_site_label
_atom_site_type_symbol
_atom_site_fract_x
_atom_site_fract_y
_atom_site_fract_z
_atom_site_occupancy
Cu1 Cu 0.092 0.115 0.225 1
Cu2 Cu 0.908 0.885 0.775 1
H1 H 0.082 0.747 0.566 1
H2 H 0.093 0.384 0.857 1
H3 H 0.245 0.531 0.374 1
H4 H 0.363 0.966 0.751 1
H5 H 0.403 0.121 0.699 1
H6 H 0.405 0.335 0.773 1
H7 H 0.470 0.320 0.282 1
H8 H 0.493 0.729 0.939 1
H9 H 0.495 0.367 0.799 1
H10 H 0.505 0.633 0.201 1
H11 H 0.507 0.271 0.061 1
H12 H 0.530 0.680 0.718 1
H13 H 0.595 0.665 0.227 1
H14 H 0.597 0.879 0.301 1
H15 H 0.637 0.034 0.249 1
H16 H 0.755 0.469 0.626 1
H17 H 0.907 0.616 0.143 1
H18 H 0.918 0.253 0.434 1
C1 C 0.206 0.845 0.258 1
C2 C 0.794 0.155 0.742 1
S1 S 0.039 0.088 0.653 1
S2 S 0.961 0.912 0.347 1
N1 N 0.068 0.801 0.334 1
N2 N 0.274 0.184 0.106 1
N3 N 0.325 0.870 0.183 1
N4 N 0.420 0.261 0.154 1
N5 N 0.580 0.739 0.846 1
N6 N 0.675 0.130 0.817 1
N7 N 0.726 0.816 0.894 1
N8 N 0.932 0.199 0.666 1
Cl1 Cl 0.069 0.729 0.739 1
Cl2 Cl 0.200 0.495 0.975 1
Cl3 Cl 0.291 0.488 0.513 1
Cl4 Cl 0.709 0.512 0.487 1
Cl5 Cl 0.800 0.505 0.025 1
Cl6 Cl 0.931 0.271 0.261 1
O1 O 0.321 0.018 0.672 1
O2 O 0.679 0.982 0.328 1
```

---

Entry 6:
The following is a GGA-PBE calculation of an optimized crystal structure of KAl11O17, from the Materials Project database.

Computed properties:
total moment: 0.002 Bohr magnetons per cell
offset from the most stable computed form: 0.007 eV/atom
formation energy from the elements: -325.50 kJ/mol of atoms
total DFT energy (no corrections): -7.330 eV per atom

The structure in CIF format:
```
data_KAl11O17
_chemical_formula_sum 'K2 Al22 O34'
_symmetry_space_group_name_H-M 'P 1'
_symmetry_Int_Tables_number 1
_symmetry_space_group_name_Hall 'P 1'
_cell_length_a 5.649
_cell_length_b 5.649
_cell_length_c 23.208
_cell_angle_alpha 96.78
_cell_angle_beta 96.78
_cell_angle_gamma 60.13
loop_
_atom_site_label
_atom_site_type_symbol
_atom_site_fract_x
_atom_site_fract_y
_atom_site_fract_z
_atom_site_occupancy
K1 K 0.000 0.000 0.000 1
K2 K 0.579 0.579 0.496 1
Al1 Al 0.165 0.165 0.252 1
Al2 Al 0.339 0.339 0.777 1
Al3 Al 0.364 0.867 0.858 1
Al4 Al 0.367 0.367 0.358 1
Al5 Al 0.367 0.865 0.357 1
Al6 Al 0.387 0.387 0.927 1
Al7 Al 0.438 0.438 0.077 1
Al8 Al 0.461 0.461 0.646 1
Al9 Al 0.461 0.966 0.646 1
Al10 Al 0.466 0.960 0.145 1
Al11 Al 0.489 0.489 0.227 1
Al12 Al 0.664 0.664 0.752 1
Al13 Al 0.839 0.839 0.277 1
Al14 Al 0.865 0.367 0.357 1
Al15 Al 0.866 0.866 0.856 1
Al16 Al 0.867 0.364 0.858 1
Al17 Al 0.889 0.889 0.427 1
Al18 Al 0.940 0.940 0.577 1
Al19 Al 0.960 0.466 0.145 1
Al20 Al 0.961 0.961 0.147 1
Al21 Al 0.966 0.461 0.646 1
Al22 Al 0.989 0.989 0.727 1
O1 O 0.016 0.016 0.807 1
O2 O 0.024 0.024 0.301 1
O3 O 0.024 0.495 0.301 1
O4 O 0.113 0.621 0.108 1
O5 O 0.118 0.118 0.111 1
O6 O 0.118 0.118 0.608 1
O7 O 0.118 0.614 0.608 1
O8 O 0.208 0.715 0.896 1
O9 O 0.209 0.209 0.897 1
O10 O 0.211 0.211 0.392 1
O11 O 0.217 0.710 0.397 1
O12 O 0.304 0.835 0.203 1
O13 O 0.305 0.305 0.202 1
O14 O 0.313 0.313 0.697 1
O15 O 0.335 0.804 0.703 1
O16 O 0.418 0.418 0.002 1
O17 O 0.495 0.024 0.301 1
O18 O 0.516 0.516 0.307 1
O19 O 0.524 0.524 0.802 1
O20 O 0.524 0.994 0.801 1
O21 O 0.614 0.118 0.608 1
O22 O 0.617 0.617 0.108 1
O23 O 0.618 0.618 0.612 1
O24 O 0.621 0.113 0.108 1
O25 O 0.710 0.217 0.397 1
O26 O 0.710 0.710 0.396 1
O27 O 0.711 0.711 0.893 1
O28 O 0.715 0.208 0.896 1
O29 O 0.804 0.335 0.703 1
O30 O 0.805 0.805 0.703 1
O31 O 0.813 0.813 0.197 1
O32 O 0.835 0.304 0.203 1
O33 O 0.914 0.914 0.502 1
O34 O 0.994 0.524 0.801 1
```

---

What did the fifth record say?
The following is a GGA-PBE calculation of an optimized crystal structure of CuH9CSN4Cl3O, from the Materials Project database.

Computed properties:
total moment: 2.003 Bohr magnetons per cell
offset from the most stable computed form: 0.591 eV/atom
formation energy from the elements: 45.77 kJ/mol of atoms
total DFT energy (no corrections): -4.083 eV per atom

The structure in CIF format:
```
data_CuH9CSN4Cl3O
_chemical_formula_sum 'Cu2 H18 C2 S2 N8 Cl6 O2'
_symmetry_space_group_name_H-M 'P 1'
_symmetry_Int_Tables_number 1
_symmetry_space_group_name_Hall 'P 1'
_cell_length_a 7.506
_cell_length_b 8.941
_cell_length_c 9.667
_cell_angle_alpha 112.37
_cell_angle_beta 98.40
_cell_angle_gamma 92.15
loop_
_atom_site_label
_atom_site_type_symbol
_atom_site_fract_x
_atom_site_fract_y
_atom_site_fract_z
_atom_site_occupancy
Cu1 Cu 0.092 0.115 0.225 1
Cu2 Cu 0.908 0.885 0.775 1
H1 H 0.082 0.747 0.566 1
H2 H 0.093 0.384 0.857 1
H3 H 0.245 0.531 0.374 1
H4 H 0.363 0.966 0.751 1
H5 H 0.403 0.121 0.699 1
H6 H 0.405 0.335 0.773 1
H7 H 0.470 0.320 0.282 1
H8 H 0.493 0.729 0.939 1
H9 H 0.495 0.367 0.799 1
H10 H 0.505 0.633 0.201 1
H11 H 0.507 0.271 0.061 1
H12 H 0.530 0.680 0.718 1
H13 H 0.595 0.665 0.227 1
H14 H 0.597 0.879 0.301 1
H15 H 0.637 0.034 0.249 1
H16 H 0.755 0.469 0.626 1
H17 H 0.907 0.616 0.143 1
H18 H 0.918 0.253 0.434 1
C1 C 0.206 0.845 0.258 1
C2 C 0.794 0.155 0.742 1
S1 S 0.039 0.088 0.653 1
S2 S 0.961 0.912 0.347 1
N1 N 0.068 0.801 0.334 1
N2 N 0.274 0.184 0.106 1
N3 N 0.325 0.870 0.183 1
N4 N 0.420 0.261 0.154 1
N5 N 0.580 0.739 0.846 1
N6 N 0.675 0.130 0.817 1
N7 N 0.726 0.816 0.894 1
N8 N 0.932 0.199 0.666 1
Cl1 Cl 0.069 0.729 0.739 1
Cl2 Cl 0.200 0.495 0.975 1
Cl3 Cl 0.291 0.488 0.513 1
Cl4 Cl 0.709 0.512 0.487 1
Cl5 Cl 0.800 0.505 0.025 1
Cl6 Cl 0.931 0.271 0.261 1
O1 O 0.321 0.018 0.672 1
O2 O 0.679 0.982 0.328 1
```